This record from the Materials Project describes MgCu2WS4 after structural relaxation. The functional is PBE.

Computed properties:
* formation energy: -0.5542 eV per atom
* magnetization: 0.052 μB/atom
* theoretical density: 4.6 g/cm³
* offset from the most stable computed form: 8.6 kJ/mol of atoms
* calculated volume: 167.8 Å³/f.u.
* SG: P-42m

```
MgCu2WS4
1.0
5.652 0.000 0.000
0.000 5.449 0.000
0.000 0.000 5.449
Mg Cu W S
1 2 1 4
Direct
0.500 0.500 0.500
0.000 0.500 0.000
0.000 0.000 0.500
0.000 0.000 0.000
0.239 0.757 0.757
0.761 0.757 0.243
0.761 0.243 0.757
0.239 0.243 0.243
```